Record 1
This record from the Materials Project database describes a relaxed BaGd2Se4 crystal. The functional is PBE.

abc: 12.9331 4.2767 15.3457
angles: 90.00 90.00 90.00
Closest atoms and distances in Å follow each position.
Fractional coordinates of all 28 atoms:
Ba 0.2437 0.2500 0.1630  8 Se 3.37-3.56
Ba 0.2563 0.7500 0.6630  8 Se 3.37-3.56
Ba 0.7437 0.2500 0.3370  8 Se 3.37-3.56
Ba 0.7563 0.7500 0.8370  8 Se 3.37-3.56
Gd 0.0672 0.2500 0.3899  6 Se 2.89-2.94
Gd 0.0802 0.2500 0.9001  6 Se 2.88-2.95
Gd 0.4198 0.7500 0.4001  6 Se 2.88-2.95
Gd 0.4328 0.7500 0.8899  6 Se 2.89-2.94
Gd 0.5672 0.2500 0.1101  6 Se 2.89-2.94
Gd 0.5802 0.2500 0.5999  6 Se 2.88-2.95
Gd 0.9198 0.7500 0.0999  6 Se 2.88-2.95
Gd 0.9328 0.7500 0.6101  6 Se 2.89-2.94
Se 0.0240 0.7500 0.7839  3 Gd 2.88-2.92
Se 0.0820 0.2500 0.5775  3 Gd 2.89-2.92
Se 0.1271 0.7500 0.0249  3 Gd 2.92-2.93
Se 0.2069 0.7500 0.3311  3 Gd 2.94-2.95
Se 0.2931 0.2500 0.8311  3 Gd 2.94-2.95
Se 0.3729 0.2500 0.5249  3 Gd 2.92-2.93
Se 0.4180 0.7500 0.0775  3 Gd 2.89-2.92
Se 0.4760 0.2500 0.2839  3 Gd 2.88-2.92
Se 0.5240 0.7500 0.7161  3 Gd 2.88-2.92
Se 0.5820 0.2500 0.9225  3 Gd 2.89-2.92
Se 0.6271 0.7500 0.4751  3 Gd 2.92-2.93
Se 0.7069 0.7500 0.1689  3 Gd 2.94-2.95
Se 0.7931 0.2500 0.6689  3 Gd 2.94-2.95
Se 0.8729 0.2500 0.9751  3 Gd 2.92-2.93
Se 0.9180 0.7500 0.4225  3 Gd 2.89-2.92
Se 0.9760 0.2500 0.2161  3 Gd 2.88-2.92

As for the MP2020-corrected energy: -8.548 eV/atom.


Record 2
This record from the Materials Project database describes a relaxed BaGd2Te4 crystal. The functional is PBE.

abc: 13.8883 4.5320 16.4097
angles: 90.00 90.00 90.00
Closest atoms and distances in Å follow each position.
Fractional coordinates of all 28 atoms:
Ba 0.2402 0.2500 0.1682  8 Te 3.58-3.77
Ba 0.2598 0.7500 0.6682  8 Te 3.58-3.77
Ba 0.7402 0.2500 0.3318  8 Te 3.58-3.77
Ba 0.7598 0.7500 0.8318  8 Te 3.58-3.77
Gd 0.0618 0.2500 0.3905  6 Te 3.09-3.16
Gd 0.0806 0.2500 0.9030  6 Te 3.09-3.17
Gd 0.4194 0.7500 0.4030  6 Te 3.09-3.17
Gd 0.4382 0.7500 0.8905  6 Te 3.09-3.16
Gd 0.5618 0.2500 0.1095  6 Te 3.09-3.16
Gd 0.5806 0.2500 0.5970  6 Te 3.09-3.17
Gd 0.9194 0.7500 0.0970  6 Te 3.09-3.17
Gd 0.9382 0.7500 0.6095  6 Te 3.09-3.16
Te 0.0256 0.7500 0.7839  3 Gd 3.09-3.11
Te 0.0887 0.2500 0.5777  3 Gd 3.09-3.13
Te 0.1287 0.7500 0.0279  3 Gd 3.12-3.13
Te 0.2059 0.7500 0.3349  3 Gd 3.16-3.17
Te 0.2941 0.2500 0.8349  3 Gd 3.16-3.17
Te 0.3713 0.2500 0.5279  3 Gd 3.12-3.13
Te 0.4113 0.7500 0.0777  3 Gd 3.09-3.13
Te 0.4744 0.2500 0.2839  3 Gd 3.09-3.11
Te 0.5256 0.7500 0.7161  3 Gd 3.09-3.11
Te 0.5887 0.2500 0.9223  3 Gd 3.09-3.13
Te 0.6287 0.7500 0.4721  3 Gd 3.12-3.13
Te 0.7059 0.7500 0.1651  3 Gd 3.16-3.17
Te 0.7941 0.2500 0.6651  3 Gd 3.16-3.17
Te 0.8713 0.2500 0.9721  3 Gd 3.12-3.13
Te 0.9113 0.7500 0.4223  3 Gd 3.09-3.13
Te 0.9744 0.2500 0.2161  3 Gd 3.09-3.11

As for the MP2020-corrected energy: -7.902 eV/atom.


Record 3
This record from the Materials Project database describes a relaxed Ba3Ge5 crystal. The functional is PBE.

abc: 6.7728 6.7728 10.4759
angles: 90.00 90.00 79.66
Closest atoms and distances in Å follow each position.
Fractional coordinates of all 16 atoms:
Ba 0.1524 0.8476 0.7500  9 Ge 3.39-3.70
Ba 0.2899 0.2899 0.0000  10 Ge 3.42-3.61
Ba 0.2899 0.2899 0.5000  10 Ge 3.42-3.61
Ba 0.7101 0.7101 0.0000  10 Ge 3.42-3.61
Ba 0.7101 0.7101 0.5000  10 Ge 3.42-3.61
Ba 0.8476 0.1524 0.2500  9 Ge 3.39-3.70
Ge 0.0370 0.6044 0.2500  3 Ge 2.64-2.65
Ge 0.2021 0.7979 0.0711  3 Ge 2.65-2.74
Ge 0.2021 0.7979 0.4289  3 Ge 2.65-2.74
Ge 0.3956 0.9630 0.2500  3 Ge 2.64-2.65
Ge 0.4323 0.5677 0.2500  4 Ge 2.64-2.74
Ge 0.5677 0.4323 0.7500  4 Ge 2.64-2.74
Ge 0.6044 0.0370 0.7500  3 Ge 2.64-2.65
Ge 0.7979 0.2021 0.5711  3 Ge 2.65-2.74
Ge 0.7979 0.2021 0.9289  3 Ge 2.65-2.74
Ge 0.9630 0.3956 0.7500  3 Ge 2.64-2.65

As for the total energy: -4.1584 eV per atom.


Record 4
This record from the Materials Project database describes a relaxed Ba4Ge23 crystal. The functional is PBE.

abc: 11.1500 11.1500 11.1500
angles: 90.00 90.00 90.00
Closest atoms and distances in Å follow each position.
Fractional coordinates of all 54 atoms:
Ba 0.0000 0.0000 0.0000  20 Ge 3.56-3.67
Ba 0.0000 0.2500 0.5000  20 Ge 3.76-4.14
Ba 0.0000 0.7500 0.5000  20 Ge 3.76-4.14
Ba 0.2500 0.5000 0.0000  20 Ge 3.76-4.14
Ba 0.5000 0.0000 0.2500  20 Ge 3.76-4.14
Ba 0.5000 0.0000 0.7500  20 Ge 3.76-4.14
Ba 0.5000 0.5000 0.5000  20 Ge 3.56-3.67
Ba 0.7500 0.5000 0.0000  20 Ge 3.76-4.14
Ge 0.0000 0.3070 0.1187  4 Ge 2.58-2.65
Ge 0.0000 0.3070 0.8813  4 Ge 2.58-2.65
Ge 0.0000 0.5000 0.2500  4 Ge 2.60
Ge 0.0000 0.5000 0.7500  4 Ge 2.60
Ge 0.0000 0.6930 0.1187  4 Ge 2.58-2.65
Ge 0.0000 0.6930 0.8813  4 Ge 2.58-2.65
Ge 0.1187 0.0000 0.3070  4 Ge 2.58-2.65
Ge 0.1187 0.0000 0.6930  4 Ge 2.58-2.65
Ge 0.1845 0.1845 0.1845  4 Ge 2.53-2.58
Ge 0.1845 0.1845 0.8155  4 Ge 2.53-2.58
Ge 0.1845 0.8155 0.1845  4 Ge 2.53-2.58
Ge 0.1845 0.8155 0.8155  4 Ge 2.53-2.58
Ge 0.1930 0.5000 0.3813  4 Ge 2.58-2.65
Ge 0.1930 0.5000 0.6187  4 Ge 2.58-2.65
Ge 0.2500 0.0000 0.5000  4 Ge 2.60
Ge 0.3070 0.1187 0.0000  4 Ge 2.58-2.65
Ge 0.3070 0.8813 0.0000  4 Ge 2.58-2.65
Ge 0.3155 0.3155 0.3155  4 Ge 2.53-2.58
Ge 0.3155 0.3155 0.6845  4 Ge 2.53-2.58
Ge 0.3155 0.6845 0.3155  4 Ge 2.53-2.58
Ge 0.3155 0.6845 0.6845  4 Ge 2.53-2.58
Ge 0.3813 0.1930 0.5000  4 Ge 2.58-2.65
Ge 0.3813 0.8070 0.5000  4 Ge 2.58-2.65
Ge 0.5000 0.2500 0.0000  4 Ge 2.60
Ge 0.5000 0.3813 0.1930  4 Ge 2.58-2.65
Ge 0.5000 0.3813 0.8070  4 Ge 2.58-2.65
Ge 0.5000 0.6187 0.1930  4 Ge 2.58-2.65
Ge 0.5000 0.6187 0.8070  4 Ge 2.58-2.65
Ge 0.5000 0.7500 0.0000  4 Ge 2.60
Ge 0.6187 0.1930 0.5000  4 Ge 2.58-2.65
Ge 0.6187 0.8070 0.5000  4 Ge 2.58-2.65
Ge 0.6845 0.3155 0.3155  4 Ge 2.53-2.58
Ge 0.6845 0.3155 0.6845  4 Ge 2.53-2.58
Ge 0.6845 0.6845 0.3155  4 Ge 2.53-2.58
Ge 0.6845 0.6845 0.6845  4 Ge 2.53-2.58
Ge 0.6930 0.1187 0.0000  4 Ge 2.58-2.65
Ge 0.6930 0.8813 0.0000  4 Ge 2.58-2.65
Ge 0.7500 0.0000 0.5000  4 Ge 2.60
Ge 0.8070 0.5000 0.3813  4 Ge 2.58-2.65
Ge 0.8070 0.5000 0.6187  4 Ge 2.58-2.65
Ge 0.8155 0.1845 0.1845  4 Ge 2.53-2.58
Ge 0.8155 0.1845 0.8155  4 Ge 2.53-2.58
Ge 0.8155 0.8155 0.1845  4 Ge 2.53-2.58
Ge 0.8155 0.8155 0.8155  4 Ge 2.53-2.58
Ge 0.8813 0.0000 0.3070  4 Ge 2.58-2.65
Ge 0.8813 0.0000 0.6930  4 Ge 2.58-2.65

The calculation puts the total magnetic moment at 0.00 Bohr magnetons per cell. As for the total energy: -4.4017 eV per atom.


What is the formula in the second record? BaGd2Te4